# 1
Crystalline Li7Mn5O12 at its relaxed geometry. Source: the Materials Project database, functional GGA+U.

Lattice parameters (Å, degrees): 6.9135 8.6313 8.7652 60.66 87.87 77.71
Space group P-1 (No. 2)
Symmetry-distinct sites (fractional):
Li 0.1205 0.2877 0.3824 (multiplicity 2)
Li 0.1268 0.6181 0.3857 (multiplicity 2)
Li 0.1309 0.9490 0.3926 (multiplicity 2)
Li 0.2467 0.7489 0.7481 (multiplicity 2)
Li 0.3567 0.8731 0.1316 (multiplicity 2)
Li 0.3582 0.2121 0.1340 (multiplicity 2)
Li 0.3703 0.5426 0.1190 (multiplicity 2)
Mn 0.0000 0.5000 0.0000 (multiplicity 1)
Mn 0.0081 0.8327 0.9966 (multiplicity 2)
Mn 0.2432 0.4224 0.7493 (multiplicity 2)
Mn 0.2490 0.0810 0.7484 (multiplicity 2)
Mn 0.4908 0.6673 0.5042 (multiplicity 2)
Mn 0.5000 0.0000 0.5000 (multiplicity 1)
O 0.0560 0.2388 0.1667 (multiplicity 2)
O 0.0624 0.9081 0.1675 (multiplicity 2)
O 0.0710 0.5735 0.1636 (multiplicity 2)
O 0.1838 0.6741 0.5724 (multiplicity 2)
O 0.1901 0.3433 0.5818 (multiplicity 2)
O 0.2217 0.0225 0.5629 (multiplicity 2)
O 0.2742 0.1554 0.9293 (multiplicity 2)
O 0.2776 0.4753 0.9375 (multiplicity 2)
O 0.2793 0.8278 0.9346 (multiplicity 2)
O 0.4355 0.9341 0.3283 (multiplicity 2)
O 0.4416 0.5992 0.3257 (multiplicity 2)
O 0.4433 0.2595 0.3306 (multiplicity 2)

- Energy with MP2020 corrections: -7.077 eV per atom
- Crystal system: triclinic
- ΔE_f: -51.309 eV/f.u.
- Energy relative to the lowest polymorph listed for this composition: 19 meV per atom

=====

# 2
Crystalline Li2FeF4 at its relaxed geometry. Source: the Materials Project database, functional GGA+U.

Lattice parameters (Å, degrees): 8.4092 5.6768 9.0101 90.00 105.67 90.00
Space group P2_1/c (No. 14)
Symmetry-distinct sites (fractional):
Li 0.1240 0.0959 0.2790 (multiplicity 4)
Li 0.3710 0.1059 0.0387 (multiplicity 4)
Fe 0.2408 0.5975 0.1577 (multiplicity 4)
F 0.0611 0.0907 0.7124 (multiplicity 4)
F 0.2372 0.5570 0.6468 (multiplicity 4)
F 0.2657 0.0971 0.4845 (multiplicity 4)
F 0.4073 0.5264 0.3560 (multiplicity 4)

- Energy with MP2020 corrections: -5.688 eV per atom
- Crystal system: monoclinic
- ΔE_f: -19.871 eV/f.u.
- Energy relative to the lowest polymorph listed for this composition: 60 meV per atom

=====

# 3
Crystalline Na3Mn2P2C2O14 at its relaxed geometry. Source: the Materials Project database, functional GGA+U.

Lattice parameters (Å, degrees): 6.5766 9.0248 10.4129 91.88 90.42 91.25
Space group P-1 (No. 2)
Symmetry-distinct sites (fractional):
Na 0.0051 0.2399 0.3762 (multiplicity 2)
Na 0.0272 0.2409 0.8820 (multiplicity 2)
Na 0.4852 0.2398 0.3738 (multiplicity 2)
Mn 0.2540 0.6519 0.3888 (multiplicity 2)
Mn 0.2599 0.6541 0.8965 (multiplicity 2)
P 0.2463 0.4262 0.1416 (multiplicity 2)
P 0.2493 0.4287 0.6419 (multiplicity 2)
C 0.2483 0.9201 0.3642 (multiplicity 2)
C 0.2526 0.9218 0.8662 (multiplicity 2)
O 0.0580 0.3255 0.1082 (multiplicity 2)
O 0.0613 0.3301 0.6042 (multiplicity 2)
O 0.2408 0.0570 0.3541 (multiplicity 2)
O 0.2416 0.4641 0.2908 (multiplicity 2)
O 0.2431 0.4696 0.7881 (multiplicity 2)
O 0.2426 0.5722 0.0694 (multiplicity 2)
O 0.2441 0.8229 0.2679 (multiplicity 2)
O 0.2449 0.0553 0.8490 (multiplicity 2)
O 0.2499 0.5773 0.5692 (multiplicity 2)
O 0.2542 0.8575 0.9780 (multiplicity 2)
O 0.2588 0.8190 0.7703 (multiplicity 2)
O 0.2604 0.8542 0.4761 (multiplicity 2)
O 0.4330 0.3314 0.1146 (multiplicity 2)
O 0.4344 0.3357 0.6038 (multiplicity 2)

- Energy with MP2020 corrections: -7.496 eV per atom
- Crystal system: triclinic
- ΔE_f: -51.565 eV/f.u.
- Energy relative to the lowest polymorph listed for this composition: 8 meV per atom

=====

# 4
Crystalline Mg14FeSnO16 at its relaxed geometry. Source: the Materials Project database, functional GGA+U.

Lattice parameters (Å, degrees): 4.3735 8.6746 8.7046 90.00 90.00 90.00
Space group Pmmm (No. 47)
Symmetry-distinct sites (fractional):
Mg 0.0000 0.0000 0.0000 (multiplicity 1)
Mg 0.0000 0.2448 0.2438 (multiplicity 4)
Mg 0.0000 0.5000 0.0000 (multiplicity 1)
Mg 0.5000 0.0000 0.2491 (multiplicity 2)
Mg 0.5000 0.2401 0.5000 (multiplicity 2)
Mg 0.5000 0.2479 0.0000 (multiplicity 2)
Mg 0.5000 0.5000 0.2406 (multiplicity 2)
Fe 0.0000 0.0000 0.5000 (multiplicity 1)
Sn 0.0000 0.5000 0.5000 (multiplicity 1)
O 0.0000 0.0000 0.2393 (multiplicity 2)
O 0.0000 0.2300 0.5000 (multiplicity 2)
O 0.0000 0.2475 0.0000 (multiplicity 2)
O 0.0000 0.5000 0.2286 (multiplicity 2)
O 0.5000 0.0000 0.0000 (multiplicity 1)
O 0.5000 0.0000 0.5000 (multiplicity 1)
O 0.5000 0.2496 0.2508 (multiplicity 4)
O 0.5000 0.5000 0.0000 (multiplicity 1)
O 0.5000 0.5000 0.5000 (multiplicity 1)

- Energy with MP2020 corrections: -6.319 eV per atom
- Crystal system: orthorhombic
- ΔE_f: -88.169 eV/f.u.

=====

# 5
Crystalline CaFeBiO5 at its relaxed geometry. Source: the Materials Project database, functional GGA+U.

Lattice parameters (Å, degrees): 5.9112 10.5580 8.5818 90.00 107.39 90.00
Space group P2_1/c (No. 14)
Symmetry-distinct sites (fractional):
Ca 0.0319 0.0967 0.1789 (multiplicity 4)
Fe 0.3862 0.6179 0.0601 (multiplicity 4)
Bi 0.4850 0.0987 0.8434 (multiplicity 4)
O 0.2243 0.5214 0.1848 (multiplicity 4)
O 0.2244 0.7196 0.5227 (multiplicity 4)
O 0.2828 0.0446 0.0122 (multiplicity 4)
O 0.3345 0.2204 0.3156 (multiplicity 4)
O 0.3520 0.5456 0.8459 (multiplicity 4)

- Energy with MP2020 corrections: -6.831 eV per atom
- Crystal system: monoclinic
- ΔE_f: -15.546 eV/f.u.
- Energy relative to the lowest polymorph listed for this composition: 0 meV per atom

=====

# 6
Crystalline MgV2C4O12 at its relaxed geometry. Source: the Materials Project database, functional GGA+U.

Lattice parameters (Å, degrees): 8.8100 8.6401 5.8729 90.00 109.92 90.00
Space group C2 (No. 5)
Symmetry-distinct sites (fractional):
Mg 0.0000 0.0000 0.0000 (multiplicity 2)
V 0.0000 0.4009 0.0000 (multiplicity 2)
V 0.0000 0.7916 0.5000 (multiplicity 2)
C 0.2125 0.6905 0.9630 (multiplicity 4)
C 0.2192 0.5019 0.4851 (multiplicity 4)
O 0.1158 0.8078 0.8706 (multiplicity 4)
O 0.1304 0.9676 0.3819 (multiplicity 4)
O 0.1320 0.2090 0.9556 (multiplicity 4)
O 0.1323 0.3957 0.3492 (multiplicity 4)
O 0.1598 0.5543 0.9640 (multiplicity 4)
O 0.1667 0.6386 0.4944 (multiplicity 4)

- Energy with MP2020 corrections: -8.226 eV per atom
- Crystal system: monoclinic
- ΔE_f: -40.243 eV/f.u.
- Energy relative to the lowest polymorph listed for this composition: 0 meV per atom

=====

# 7
Crystalline MgHg8W8O28 at its relaxed geometry. Source: the Materials Project database, functional GGA+U.

Lattice parameters (Å, degrees): 7.4743 7.5251 14.8206 77.63 77.24 62.49
Space group P1 (No. 1)
Symmetry-distinct sites (fractional):
Mg 0.0000 0.0000 0.0000 (multiplicity 1)
Hg 0.1256 0.0240 0.6343 (multiplicity 1)
Hg 0.3200 0.5363 0.7484 (multiplicity 1)
Hg 0.4587 0.6780 0.1227 (multiplicity 1)
Hg 0.4650 0.3733 0.2455 (multiplicity 1)
Hg 0.6306 0.5308 0.6284 (multiplicity 1)
Hg 0.8045 0.0442 0.7540 (multiplicity 1)
Hg 0.9393 0.2339 0.1467 (multiplicity 1)
Hg 0.9555 0.8992 0.2522 (multiplicity 1)
W 0.0447 0.6533 0.4974 (multiplicity 1)
W 0.0797 0.6079 0.9897 (multiplicity 1)
W 0.3510 0.9580 0.3777 (multiplicity 1)
W 0.4002 0.9190 0.8669 (multiplicity 1)
W 0.5444 0.1557 0.4956 (multiplicity 1)
W 0.5683 0.1047 0.0025 (multiplicity 1)
W 0.8537 0.4625 0.3757 (multiplicity 1)
W 0.8872 0.4153 0.8784 (multiplicity 1)
O 0.0020 0.6348 0.3552 (multiplicity 1)
O 0.0405 0.6542 0.6168 (multiplicity 1)
O 0.0726 0.5588 0.8588 (multiplicity 1)
O 0.0751 0.7218 0.0899 (multiplicity 1)
O 0.0969 0.2216 0.3870 (multiplicity 1)
O 0.1336 0.1480 0.9060 (multiplicity 1)
O 0.1838 0.8228 0.4424 (multiplicity 1)
O 0.2491 0.7617 0.9180 (multiplicity 1)
O 0.2908 0.4161 0.4784 (multiplicity 1)
O 0.3228 0.3453 0.0086 (multiplicity 1)
O 0.3316 0.9547 0.2614 (multiplicity 1)
O 0.3708 0.0118 0.5184 (multiplicity 1)
O 0.3845 0.9461 0.7468 (multiplicity 1)
O 0.4252 0.9318 0.0171 (multiplicity 1)
O 0.5078 0.1207 0.3542 (multiplicity 1)
O 0.5280 0.1076 0.8569 (multiplicity 1)
O 0.5434 0.1823 0.6109 (multiplicity 1)
O 0.5927 0.7143 0.3907 (multiplicity 1)
O 0.6122 0.0614 0.1201 (multiplicity 1)
O 0.6476 0.6884 0.8752 (multiplicity 1)
O 0.6929 0.3145 0.4291 (multiplicity 1)
O 0.7325 0.2605 0.9578 (multiplicity 1)
O 0.7867 0.9107 0.4855 (multiplicity 1)
O 0.8318 0.8813 0.9628 (multiplicity 1)
O 0.8502 0.4747 0.2541 (multiplicity 1)
O 0.8770 0.5014 0.5150 (multiplicity 1)
O 0.8814 0.3853 0.7636 (multiplicity 1)
O 0.9008 0.4656 0.0240 (multiplicity 1)

- Energy with MP2020 corrections: -7.185 eV per atom
- Crystal system: triclinic
- ΔE_f: -77.102 eV/f.u.
- Energy relative to the lowest polymorph listed for this composition: 30 meV per atom

=====

# 8
Crystalline SrNdV4O12 at its relaxed geometry. Source: the Materials Project database, functional GGA+U.

Lattice parameters (Å, degrees): 7.5635 7.5642 7.5664 90.00 90.00 90.00
Space group Amm2 (No. 38)
Symmetry-distinct sites (fractional):
Sr 0.0000 0.0000 0.0000 (multiplicity 2)
Nd 0.5000 0.0000 0.5090 (multiplicity 2)
V 0.2485 0.2499 0.2536 (multiplicity 8)
O 0.0000 0.2351 0.2543 (multiplicity 4)
O 0.2381 0.0000 0.7355 (multiplicity 4)
O 0.2549 0.2386 0.0033 (multiplicity 8)
O 0.2705 0.0000 0.2726 (multiplicity 4)
O 0.5000 0.2320 0.7503 (multiplicity 4)

- Energy with MP2020 corrections: -8.313 eV per atom
- Crystal system: orthorhombic
- ΔE_f: -47.460 eV/f.u.